Model 1:
Entry from the Materials Project database: a relaxed Cs3ScO3 crystal (PBE).

Unit cell a=7.4522 b=7.4522 c=7.4446 alpha=83.06 beta=83.06 gamma=115.63
Closest atoms and distances in Å follow each position.
Sites, in units of the cell vectors:
Cs (0.3655, 0.3655, 0.3434)  3 O 2.90-3.14
Cs (0.2030, 0.7970, 0.5000)  4 O 3.03-3.33
Cs (0.7388, 0.2612, 0.0000)  4 O 3.13-3.17
Cs (0.6345, 0.6345, 0.6566)  3 O 2.90-3.14
Cs (0.7970, 0.2030, 0.5000)  4 O 3.03-3.33
Cs (0.2612, 0.7388, 0.0000)  4 O 3.13-3.17
O (0.8414, 0.5841, 0.2615)  1 Sc 1.98
O (0.9056, 0.9056, 0.8608)  2 Sc 2.05-2.07
O (0.4159, 0.1586, 0.7385)  1 Sc 1.98
O (0.5841, 0.8414, 0.2615)  1 Sc 1.98
O (0.1586, 0.4159, 0.7385)  1 Sc 1.98
O (0.0944, 0.0944, 0.1392)  2 Sc 2.05-2.07
Sc (0.1653, 0.1653, 0.8533)  4 O 1.98-2.07
Sc (0.8347, 0.8347, 0.1467)  4 O 1.98-2.07

Values from the calculation:
Space group   C2/m

=====

Model 2:
Entry from the Materials Project database: a relaxed Cs3ScO3 crystal (PBE).

Unit cell a=7.4148 b=8.2114 c=11.9228 alpha=83.71 beta=90.00 gamma=90.00
Closest atoms and distances in Å follow each position.
Sites, in units of the cell vectors:
Cs (0.3218, 0.6236, 0.3057)  3 O 2.91-3.22
Cs (0.6203, 0.9521, 0.1557)  4 O 3.10-3.18
Cs (0.8797, 0.9521, 0.6557)  4 O 3.10-3.18
Cs (0.3797, 0.0479, 0.8443)  4 O 3.10-3.18
Cs (0.1203, 0.0479, 0.3443)  4 O 3.10-3.18
Cs (0.6782, 0.3764, 0.6943)  3 O 2.91-3.22
Cs (0.1782, 0.6236, 0.8057)  3 O 2.91-3.22
Cs (0.8218, 0.3764, 0.1943)  3 O 2.91-3.22
Cs (0.8320, 0.6508, 0.4268)  3 O 2.92-3.06
Cs (0.1680, 0.3492, 0.5732)  3 O 2.92-3.06
Cs (0.6680, 0.6508, 0.9268)  3 O 2.92-3.06
Cs (0.3320, 0.3492, 0.0732)  3 O 2.92-3.06
Sc (0.5815, 0.1514, 0.4351)  4 O 1.97-2.08
Sc (0.9185, 0.1514, 0.9351)  4 O 1.97-2.08
Sc (0.0815, 0.8486, 0.0649)  4 O 1.97-2.08
Sc (0.4185, 0.8486, 0.5649)  4 O 1.97-2.08
O (0.3261, 0.7592, 0.0419)  1 Sc 1.99
O (0.9492, 0.7128, 0.1842)  1 Sc 1.97
O (0.9456, 0.9044, 0.9149)  2 Sc 2.06-2.08
O (0.5508, 0.7128, 0.6842)  1 Sc 1.97
O (0.1739, 0.7592, 0.5419)  1 Sc 1.99
O (0.0544, 0.0956, 0.0851)  2 Sc 2.06-2.08
O (0.4492, 0.2872, 0.3158)  1 Sc 1.97
O (0.6739, 0.2408, 0.9581)  1 Sc 1.99
O (0.0508, 0.2872, 0.8158)  1 Sc 1.97
O (0.5544, 0.9044, 0.4149)  2 Sc 2.06-2.08
O (0.8261, 0.2408, 0.4581)  1 Sc 1.99
O (0.4456, 0.0956, 0.5851)  2 Sc 2.06-2.08

Values from the calculation:
Space group   P2_1/c

=====

From most stable to least stable, the computed energies give model 2, model 1.

=====

Model 1:
Entry from the Materials Project database: a relaxed Cs3Se2O8 crystal (PBE).

Unit cell a=6.4604 b=6.4604 c=8.9143 alpha=67.20 beta=67.20 gamma=60.22
Closest atoms and distances in Å follow each position.
Sites, in units of the cell vectors:
Se (0.3965, 0.4163, 0.7667)  4 O 1.67-1.69
Se (0.5837, 0.6035, 0.2333)  4 O 1.67-1.69
O (0.6284, 0.7194, 0.0235)  1 Se 1.69
O (0.7111, 0.2956, 0.2813)  1 Se 1.67
O (0.2755, 0.7084, 0.3084)  1 Se 1.69
O (0.7028, 0.7099, 0.3081)  1 Se 1.67
O (0.7044, 0.2889, 0.7187)  1 Se 1.67
O (0.2916, 0.7245, 0.6916)  1 Se 1.69
O (0.2806, 0.3716, 0.9765)  1 Se 1.69
O (0.2901, 0.2972, 0.6919)  1 Se 1.67
Cs (0.0017, 0.9983, 0.0000)  6 O 3.16-3.27
Cs (0.7915, 0.7958, 0.6186)  10 O 3.24-3.43
Cs (0.2042, 0.2085, 0.3814)  10 O 3.24-3.43

Values from the calculation:
Space group   C2

=====

Model 2:
Entry from the Materials Project database: a relaxed Cs3Se2O8 crystal (PBE).

Unit cell a=6.4287 b=6.4287 c=8.6253 alpha=71.41 beta=71.41 gamma=60.05
Closest atoms and distances in Å follow each position.
Sites, in units of the cell vectors:
O (0.7296, 0.3011, 0.6894)  1 Se 1.67
O (0.3011, 0.7296, 0.6894)  1 Se 1.67
O (0.2704, 0.6989, 0.3106)  1 Se 1.67
O (0.2886, 0.2886, 0.7410)  1 Se 1.68
O (0.6125, 0.6125, 0.0198)  1 Se 1.71
O (0.3875, 0.3875, 0.9802)  1 Se 1.71
O (0.6989, 0.2704, 0.3106)  1 Se 1.67
O (0.7114, 0.7114, 0.2590)  1 Se 1.68
Cs (0.1988, 0.1988, 0.3883)  10 O 3.22-3.53
Cs (0.8012, 0.8012, 0.6117)  10 O 3.22-3.53
Cs (0.0000, 0.0000, 0.0000)  10 O 3.17-3.48
Se (0.4302, 0.4302, 0.7678)  4 O 1.67-1.71
Se (0.5698, 0.5698, 0.2322)  4 O 1.67-1.71

Values from the calculation:
Space group   C2/m

=====

From most stable to least stable, the computed energies give model 2, model 1.

=====

Model 1:
Entry from the Materials Project database: a relaxed Cs4SiO4 crystal (PBE).

Unit cell a=7.0621 b=11.3506 c=11.6254 alpha=68.73 beta=90.00 gamma=90.00
Closest atoms and distances in Å follow each position.
Sites, in units of the cell vectors:
Cs (0.3250, 0.2881, 0.5846)  4 O 2.95-3.06
Cs (0.6193, 0.0849, 0.8498)  4 O 3.00-3.04
Cs (0.6750, 0.7119, 0.4154)  4 O 2.95-3.06
Cs (0.4084, 0.7001, 0.9350)  4 O 2.89-3.19
Cs (0.1193, 0.4151, 0.1502)  4 O 3.00-3.04
Cs (0.5916, 0.2999, 0.0650)  4 O 2.89-3.19
Cs (0.3807, 0.9151, 0.1502)  4 O 3.00-3.04
Cs (0.6660, 0.8949, 0.6302)  4 O 2.88-3.12
Cs (0.1660, 0.6051, 0.3698)  4 O 2.88-3.12
Cs (0.8807, 0.5849, 0.8498)  4 O 3.00-3.04
Cs (0.8340, 0.3949, 0.6302)  4 O 2.88-3.12
Cs (0.0916, 0.2001, 0.9350)  4 O 2.89-3.19
Cs (0.1750, 0.7881, 0.5846)  4 O 2.95-3.06
Cs (0.3340, 0.1051, 0.3698)  4 O 2.88-3.12
Cs (0.9084, 0.7999, 0.0650)  4 O 2.89-3.19
Cs (0.8250, 0.2119, 0.4154)  4 O 2.95-3.06
O (0.6977, 0.9972, 0.3427)  1 Si 1.68
O (0.1977, 0.5028, 0.6573)  1 Si 1.68
O (0.5001, 0.6408, 0.2196)  1 Si 1.68
O (0.3023, 0.0028, 0.6573)  1 Si 1.68
O (0.0001, 0.8592, 0.7804)  1 Si 1.68
O (0.7263, 0.5219, 0.1053)  1 Si 1.68
O (0.9888, 0.1192, 0.7071)  1 Si 1.68
O (0.4888, 0.3808, 0.2929)  1 Si 1.68
O (0.0112, 0.8808, 0.2929)  1 Si 1.68
O (0.9999, 0.1408, 0.2196)  1 Si 1.68
O (0.2737, 0.4781, 0.8947)  1 Si 1.68
O (0.7737, 0.0219, 0.1053)  1 Si 1.68
O (0.4999, 0.3592, 0.7804)  1 Si 1.68
O (0.5112, 0.6192, 0.7071)  1 Si 1.68
O (0.8023, 0.4972, 0.3427)  1 Si 1.68
O (0.2263, 0.9781, 0.8947)  1 Si 1.68
Si (0.6279, 0.5098, 0.2403)  4 O 1.68
Si (0.1279, 0.9902, 0.7597)  4 O 1.68
Si (0.3721, 0.4902, 0.7597)  4 O 1.68
Si (0.8721, 0.0098, 0.2403)  4 O 1.68

Values from the calculation:
Space group   P2_1/c

=====

Model 2:
Entry from the Materials Project database: a relaxed Cs4SiO4 crystal (PBE).

Unit cell a=19.4243 b=6.9928 c=7.0928 alpha=66.90 beta=90.00 gamma=90.00
Closest atoms and distances in Å follow each position.
Sites, in units of the cell vectors:
O (0.0595, 0.2234, 0.6492)  1 Si 1.68
O (0.4405, 0.2234, 0.1492)  1 Si 1.68
O (0.8174, 0.5850, 0.3740)  1 Si 1.69
O (0.6590, 0.9644, 0.5590)  1 Si 1.68
O (0.9405, 0.7766, 0.3508)  1 Si 1.68
O (0.4055, 0.3893, 0.4319)  1 Si 1.68
O (0.0945, 0.3893, 0.9319)  1 Si 1.68
O (0.5595, 0.7766, 0.8508)  1 Si 1.68
O (0.6826, 0.5850, 0.8740)  1 Si 1.69
O (0.5945, 0.6107, 0.5681)  1 Si 1.68
O (0.9055, 0.6107, 0.0681)  1 Si 1.68
O (0.1826, 0.4150, 0.6260)  1 Si 1.69
O (0.8410, 0.9644, 0.0590)  1 Si 1.68
O (0.3410, 0.0356, 0.4410)  1 Si 1.68
O (0.1590, 0.0356, 0.9410)  1 Si 1.68
O (0.3174, 0.4150, 0.1260)  1 Si 1.69
Cs (0.4861, 0.7907, 0.2656)  3 O 2.92-3.02
Cs (0.4226, 0.6622, 0.7938)  3 O 2.85-3.13
Cs (0.6919, 0.8237, 0.1776)  5 O 2.97-3.28
Cs (0.7127, 0.3207, 0.6600)  4 O 2.87-3.03
Cs (0.8081, 0.8237, 0.6776)  5 O 2.97-3.28
Cs (0.5139, 0.2093, 0.7344)  3 O 2.92-3.02
Cs (0.3081, 0.1763, 0.8224)  5 O 2.97-3.28
Cs (0.1919, 0.1763, 0.3224)  5 O 2.97-3.28
Cs (0.9226, 0.3378, 0.7062)  3 O 2.85-3.13
Cs (0.5774, 0.3378, 0.2062)  3 O 2.85-3.13
Cs (0.9861, 0.2093, 0.2344)  3 O 2.92-3.02
Cs (0.2127, 0.6793, 0.8400)  4 O 2.87-3.03
Cs (0.7873, 0.3207, 0.1600)  4 O 2.87-3.03
Cs (0.2873, 0.6793, 0.3400)  4 O 2.87-3.03
Cs (0.0139, 0.7907, 0.7656)  3 O 2.92-3.02
Cs (0.0774, 0.6622, 0.2938)  3 O 2.85-3.13
Si (0.6233, 0.7381, 0.7104)  4 O 1.68-1.69
Si (0.8767, 0.7381, 0.2104)  4 O 1.68-1.69
Si (0.3767, 0.2619, 0.2896)  4 O 1.68-1.69
Si (0.1233, 0.2619, 0.7896)  4 O 1.68-1.69

Values from the calculation:
Space group   P2_1/c

=====

From most stable to least stable, the computed energies give model 1, model 2.